Sr2MnSbO6 | GGA+U | relaxed

E (MP2020) = -7.198 eV per atom
Density = 5.78 g/cm³

Structure (CIF):
```
data_Sr2MnSbO6
_chemical_formula_sum 'Sr4 Mn2 Sb2 O12'
_space_group_name_H-M_alt 'I 4 m m'
_space_group_IT_number 107
_space_group_name_Hall 'I 4 -2'
_cell_length_a 5.6154
_cell_length_b 5.6154
_cell_length_c 8.1579
_cell_angle_alpha 90.00
_cell_angle_beta 90.00
_cell_angle_gamma 90.00
loop_
_atom_site_label
_atom_site_type_symbol
_atom_site_fract_x
_atom_site_fract_y
_atom_site_fract_z
Sr1 Sr 0.0000 0.5000 0.0000
Mn1 Mn 0.0000 0.0000 0.2536
Sb1 Sb 0.0000 0.0000 0.7543
O1 O 0.0000 0.0000 0.5110
O2 O 0.0000 0.0000 0.9992
O3 O 0.2467 0.2467 0.2568
```